(1)
Density functional theory data (GGA-PBE) for a relaxed structure of Ti2H3Pd.

## Properties
energy: -5.61 eV/atom

The structure in CIF format:
```
data_Ti2H3Pd
_symmetry_space_group_name_H-M 'P 4/m m m'
_symmetry_Int_Tables_number 123
_symmetry_space_group_name_Hall '-P 4 2'
_cell_length_a 2.907
_cell_length_b 2.907
_cell_length_c 12.948
_cell_angle_alpha 90.00
_cell_angle_beta 90.00
_cell_angle_gamma 90.00
loop_
_atom_site_label
_atom_site_fract_x
_atom_site_fract_y
_atom_site_fract_z
_atom_site_occupancy
Ti1 0.000 0.000 0.147 1
Ti2 0.500 0.500 0.340 1
H1 0.000 0.000 0.363 1
H2 0.000 0.500 0.241 1
Pd1 0.000 0.000 0.500 1
Pd2 0.500 0.500 0.000 1
```

(2)
Density functional theory data (GGA-PBE) for a relaxed structure of Ti2HPd.

## Properties
energy: -6.55 eV/atom

The structure in CIF format:
```
data_Ti2HPd
_symmetry_space_group_name_H-M 'P 4/m m m'
_symmetry_Int_Tables_number 123
_symmetry_space_group_name_Hall '-P 4 2'
_cell_length_a 2.895
_cell_length_b 2.895
_cell_length_c 11.934
_cell_angle_alpha 90.00
_cell_angle_beta 90.00
_cell_angle_gamma 90.00
loop_
_atom_site_label
_atom_site_fract_x
_atom_site_fract_y
_atom_site_fract_z
_atom_site_occupancy
Ti1 0.000 0.000 0.159 1
Ti2 0.500 0.500 0.332 1
H1 0.000 0.000 0.319 1
Pd1 0.000 0.000 0.500 1
Pd2 0.500 0.500 0.000 1
```

Number 1: DFT formation energy -40.41 kJ/mol of atoms. Number 2: DFT formation energy -44.31 kJ/mol of atoms.